Computed, not measured: a relaxed Rb2S3 crystal at the PBE-GGA level of DFT.

Cell lengths 7.562, 10.683, 7.960 Å; angles 90.00, 90.00, 90.00 degrees
Space group Cmc2_1 (No. 36)
One atom of each set of equivalent atoms:
1 Rb 0.000 0.080 0.000 [4 per cell]
2 Rb 0.000 0.394 0.229 [4 per cell]
3 S 0.000 0.300 0.698 [4 per cell]
4 S 0.224 0.342 0.843 [8 per cell]

Properties
Energy of formation, kcal/mol of atoms: -25.1
Energy with MP2020 corrections, eV/cell: -79.23
Crystal system: orthorhombic
Piezoelectric modulus e_max, C/m2: 0.19


Computed, not measured: a relaxed RbS crystal at the PBE-GGA level of DFT.

Cell lengths 5.077, 6.890, 8.790 Å; angles 90.00, 90.00, 90.00 degrees
Space group Immm (No. 71)
One atom of each set of equivalent atoms:
1 Rb 0.000 0.000 0.223 [4 per cell]
2 S 0.000 0.345 0.500 [4 per cell]

Properties
Energy of formation, kcal/mol of atoms: -26.7
Energy with MP2020 corrections, eV/cell: -29.72
Crystal system: orthorhombic


Computed, not measured: a relaxed RbS crystal at the PBE-GGA level of DFT.

Cell lengths 4.827, 4.704, 6.405 Å; angles 90.00, 110.46, 90.00 degrees
Space group P2_1/m (No. 11)
One atom of each set of equivalent atoms:
1 Rb 0.114 0.250 0.257 [2 per cell]
2 S 0.434 0.250 0.841 [2 per cell]

Properties
Energy of formation, kcal/mol of atoms: -17.3
Energy with MP2020 corrections, eV/cell: -13.24
Crystal system: monoclinic


Computed, not measured: a relaxed RbS crystal at the PBE-GGA level of DFT.

Cell lengths 3.977, 3.977, 4.111 Å; angles 90.00, 90.00, 90.00 degrees
Space group P4/mmm (No. 123)
One atom of each set of equivalent atoms:
1 Rb 0.000 0.000 0.000 [1 per cell]
2 S 0.500 0.500 0.500 [1 per cell]

Properties
Energy of formation, kcal/mol of atoms: -15.4
Energy with MP2020 corrections, eV/cell: -6.45
Crystal system: tetragonal


Computed, not measured: a relaxed Rb2S crystal at the PBE-GGA level of DFT.

Cell lengths 8.469, 5.147, 10.022 Å; angles 90.00, 90.00, 90.00 degrees
Space group Pnma (No. 62)
One atom of each set of equivalent atoms:
1 Rb 0.020 0.250 0.169 [4 per cell]
2 Rb 0.146 0.250 0.574 [4 per cell]
3 S 0.248 0.750 0.389 [4 per cell]

Properties
Energy of formation, kcal/mol of atoms: -26.1
Energy with MP2020 corrections, eV/cell: -37.99
Crystal system: orthorhombic


Computed, not measured: a relaxed RbS crystal at the PBE-GGA level of DFT.

Cell lengths 3.039, 4.371, 4.384 Å; angles 89.73, 89.84, 89.85 degrees
Space group P1 (No. 1)
One atom of each set of equivalent atoms:
1 Rb 0.000 0.000 0.000 [1 per cell]
2 S 0.497 0.501 0.500 [1 per cell]

Properties
Energy of formation, kcal/mol of atoms: -16.7
Energy with MP2020 corrections, eV/cell: -6.57
Crystal system: triclinic


Computed, not measured: a relaxed RbS crystal at the PBE-GGA level of DFT.

Cell lengths 6.806, 6.806, 6.806 Å; angles 90.00, 90.00, 90.00 degrees
Space group Fm-3m (No. 225)
One atom of each set of equivalent atoms:
1 Rb 0.000 0.000 0.000 [4 per cell]
2 S 0.000 0.000 0.500 [4 per cell]

Properties
Energy of formation, kcal/mol of atoms: -13.1
Energy with MP2020 corrections, eV/cell: -25.02
Crystal system: cubic


Computed, not measured: a relaxed Rb3SbS4 crystal at the PBE-GGA level of DFT.

Cell lengths 9.737, 11.321, 10.137 Å; angles 90.00, 90.00, 90.00 degrees
Space group Pnma (No. 62)
One atom of each set of equivalent atoms:
1 Rb 0.065 0.044 0.205 [8 per cell]
2 Rb 0.136 0.750 0.429 [4 per cell]
3 Sb 0.221 0.750 0.984 [4 per cell]
4 S 0.006 0.750 0.096 [4 per cell]
5 S 0.156 0.077 0.537 [8 per cell]
6 S 0.182 0.750 0.754 [4 per cell]

Properties
Energy of formation, kcal/mol of atoms: -26.3
Energy with MP2020 corrections, eV/cell: -130.92
Crystal system: orthorhombic


Computed, not measured: a relaxed Rb6Sn2S7 crystal at the PBE-GGA level of DFT.

Cell lengths 10.137, 13.714, 15.153 Å; angles 90.00, 90.00, 90.00 degrees
Space group P2_12_12_1 (No. 19)
One atom of each set of equivalent atoms:
1 Rb 0.029 0.161 0.190 [4 per cell]
2 Rb 0.063 0.820 0.881 [4 per cell]
3 Rb 0.142 0.570 0.085 [4 per cell]
4 Rb 0.145 0.652 0.644 [4 per cell]
5 Rb 0.220 0.861 0.439 [4 per cell]
6 Rb 0.250 0.116 0.628 [4 per cell]
7 Sn 0.078 0.393 0.862 [4 per cell]
8 Sn 0.124 0.395 0.381 [4 per cell]
9 S 0.024 0.503 0.487 [4 per cell]
10 S 0.029 0.411 0.238 [4 per cell]
11 S 0.097 0.328 0.008 [4 per cell]
12 S 0.119 0.230 0.437 [4 per cell]
13 S 0.131 0.573 0.863 [4 per cell]
14 S 0.152 0.896 0.677 [4 per cell]
15 S 0.207 0.304 0.757 [4 per cell]

Properties
Energy of formation, kcal/mol of atoms: -28.3
Energy with MP2020 corrections, eV/cell: -245.18
Crystal system: orthorhombic


Computed, not measured: a relaxed RbSnS4 crystal at the PBE-GGA level of DFT.

Cell lengths 10.127, 20.135, 14.192 Å; angles 90.00, 90.00, 90.00 degrees
Space group Pbcn (No. 60)
One atom of each set of equivalent atoms:
1 Rb 0.140 0.189 0.026 [8 per cell]
2 Rb 0.227 0.429 0.963 [8 per cell]
3 Sn 0.000 0.083 0.750 [4 per cell]
4 Sn 0.000 0.270 0.750 [4 per cell]
5 Sn 0.175 0.326 0.269 [8 per cell]
6 S 0.037 0.330 0.129 [8 per cell]
7 S 0.062 0.360 0.622 [8 per cell]
8 S 0.064 0.008 0.124 [8 per cell]
9 S 0.102 0.176 0.646 [8 per cell]
10 S 0.140 0.438 0.697 [8 per cell]
11 S 0.156 0.078 0.206 [8 per cell]
12 S 0.222 0.077 0.839 [8 per cell]
13 S 0.232 0.277 0.831 [8 per cell]

Properties
Energy of formation, kcal/mol of atoms: -21.0
Energy with MP2020 corrections, eV/cell: -432.07
Crystal system: orthorhombic


Computed, not measured: a relaxed RbSnS4 crystal at the PBE-GGA level of DFT.

Cell lengths 10.061, 10.126, 15.357 Å; angles 90.00, 112.69, 90.00 degrees
Space group P2_1/c (No. 14)
One atom of each set of equivalent atoms:
1 Rb 0.121 0.225 0.093 [4 per cell]
2 Rb 0.357 0.634 0.204 [4 per cell]
3 Sn 0.313 0.000 0.406 [4 per cell]
4 Sn 0.489 0.675 0.514 [4 per cell]
5 S 0.010 0.641 0.696 [4 per cell]
6 S 0.035 0.657 0.226 [4 per cell]
7 S 0.055 0.059 0.401 [4 per cell]
8 S 0.211 0.566 0.725 [4 per cell]
9 S 0.250 0.725 0.961 [4 per cell]
10 S 0.347 0.229 0.338 [4 per cell]
11 S 0.418 0.037 0.080 [4 per cell]
12 S 0.438 0.103 0.573 [4 per cell]

Properties
Energy of formation, kcal/mol of atoms: -21.0
Energy with MP2020 corrections, eV/cell: -216.01
Crystal system: monoclinic


Computed, not measured: a relaxed Rb4Ta2S11 crystal at the PBE-GGA level of DFT.

Cell lengths 13.860, 7.844, 18.670 Å; angles 90.00, 90.00, 90.00 degrees
Space group Pca2_1 (No. 29)
One atom of each set of equivalent atoms:
1 Rb 0.040 0.210 0.000 [4 per cell]
2 Rb 0.085 0.186 0.702 [4 per cell]
3 Rb 0.214 0.795 0.850 [4 per cell]
4 Rb 0.231 0.669 0.102 [4 per cell]
5 Ta 0.063 0.259 0.258 [4 per cell]
6 Ta 0.120 0.205 0.439 [4 per cell]
7 S 0.022 0.458 0.358 [4 per cell]
8 S 0.024 0.037 0.350 [4 per cell]
9 S 0.039 0.749 0.995 [4 per cell]
10 S 0.071 0.396 0.541 [4 per cell]
11 S 0.077 0.748 0.696 [4 per cell]
12 S 0.098 0.565 0.272 [4 per cell]
13 S 0.159 0.026 0.205 [4 per cell]
14 S 0.177 0.261 0.154 [4 per cell]
15 S 0.184 0.986 0.501 [4 per cell]
16 S 0.236 0.227 0.337 [4 per cell]
17 S 0.242 0.398 0.922 [4 per cell]

Properties
Energy of formation, kcal/mol of atoms: -29.0
Energy with MP2020 corrections, eV/cell: -378.20
Crystal system: orthorhombic